1.
## MgGeH12O6F6 (PBE)

Data for a relaxed structure of MgGeH12O6F6.

Lattice parameters (Å, degrees): 6.6770 9.7419 8.5618 90.00 100.30 90.00
Space group P2_1/c (No. 14)
Unique sites:
Mg: 0.0000 0.0000 0.0000
Ge: 0.5000 0.0000 0.5000
H: 0.0362 0.0592 0.3175
H: 0.1988 0.5281 0.2411
H: 0.2496 0.2283 0.0339
H: 0.2523 0.6698 0.7010
H: 0.2559 0.7266 0.5278
H: 0.3636 0.1107 0.1435
O: 0.0655 0.5310 0.2741
O: 0.1838 0.6650 0.5898
O: 0.2490 0.1297 0.0573
F: 0.2589 0.0954 0.4674
F: 0.3669 0.6533 0.9084
F: 0.4497 0.5553 0.1945

Properties
The value obtained for the magnetization is 0.0 Bohr magnetons per cell. The formation energy is -180 kJ per mole of atoms.

2.
## Ga21Ni5 (PBE)

Data for a relaxed structure of Ga21Ni5.

Lattice parameters (Å, degrees): 13.9410 14.0308 8.5664 90.00 90.00 90.00
Space group Fmm2 (No. 42)
Unique sites:
Ga: 0.0000 0.0000 0.1138
Ga: 0.0000 0.1265 0.6264
Ga: 0.0000 0.1582 0.3170
Ga: 0.0000 0.1831 0.0000
Ga: 0.1390 0.0000 0.3307
Ga: 0.1603 0.0000 0.6398
Ga: 0.1597 0.1819 0.8161
Ga: 0.1691 0.0000 0.9517
Ga: 0.1836 0.1601 0.1396
Ni: 0.0000 0.0000 0.8198
Ni: 0.1608 0.1650 0.4765

Properties
The value obtained for the magnetization is 0.4 Bohr magnetons per cell. The formation energy is -1 kJ per mole of atoms.

3.
## ThPt3 (PBE)

Data for a relaxed structure of ThPt3.

Lattice parameters (Å, degrees): 5.9334 5.9334 5.0192 90.00 90.00 120.00
Space group P6_3/mmc (No. 194)
Unique sites:
Th: 0.3333 0.6667 0.2500
Pt: 0.1602 0.3205 0.7500

Properties
The formation energy is -104 kJ per mole of atoms.

4.
## BiSbPt (PBE)

Data for a relaxed structure of BiSbPt.

Lattice parameters (Å, degrees): 6.7045 6.7045 6.7045 90.00 90.00 90.00
Space group P2_13 (No. 198)
Unique sites:
Bi: 0.1260 0.1260 0.1260
Sb: 0.1270 0.3730 0.6270
Pt: 0.0096 0.5096 0.9904

Properties
The formation energy is -34 kJ per mole of atoms.

5.
## YBi (PBE)

Data for a relaxed structure of YBi.

Lattice parameters (Å, degrees): 6.3410 6.3410 6.3410 90.00 90.00 90.00
Space group Fm-3m (No. 225)
Unique sites:
Y: 0.0000 0.0000 0.0000
Bi: 0.0000 0.0000 0.5000

Properties
The formation energy is -86 kJ per mole of atoms.

6.
## Mg3Si2 (PBE)

Data for a relaxed structure of Mg3Si2.

Lattice parameters (Å, degrees): 7.8152 7.3037 6.8704 90.00 104.26 90.00
Space group C2/c (No. 15)
Unique sites:
Mg: 0.0000 0.1578 0.2500
Mg: 0.1878 0.4518 0.9812
Si: 0.1191 0.2183 0.6636

Properties
The value obtained for the magnetization is 0.0 Bohr magnetons per cell. The formation energy is -1 kJ per mole of atoms.

7.
## Nd4GeO8 (PBE)

Data for a relaxed structure of Nd4GeO8.

Lattice parameters (Å, degrees): 18.2628 7.5230 5.7879 90.00 90.00 90.00
Space group Pnma (No. 62)
Unique sites:
Nd: 0.0143 0.2500 0.0206
Nd: 0.1022 0.0092 0.5197
Nd: 0.2170 0.2500 0.0414
Ge: 0.1910 0.7500 0.0078
O: 0.0060 0.5189 0.2562
O: 0.1159 0.2500 0.2716
O: 0.1159 0.7500 0.8074
O: 0.1252 0.2500 0.7752
O: 0.1616 0.7500 0.3044
O: 0.2438 0.5606 0.9268

Properties
The formation energy is -335 kJ per mole of atoms.

8.
## Rb3SbO3 (PBE)

Data for a relaxed structure of Rb3SbO3.

Lattice parameters (Å, degrees): 9.2348 6.9213 11.2310 90.00 94.99 90.00
Space group P2_1/c (No. 14)
Unique sites:
Rb: 0.0782 0.1426 0.1859
Rb: 0.3412 0.1948 0.9342
Rb: 0.4181 0.7249 0.8122
Sb: 0.1862 0.6490 0.0608
O: 0.1821 0.5431 0.8973
O: 0.2886 0.0572 0.6591
O: 0.3422 0.6547 0.5572

Properties
The value obtained for the magnetization is 0.0 Bohr magnetons per cell. The formation energy is -166 kJ per mole of atoms.

9.
## K2ScSnAs3O12 (PBE)

Data for a relaxed structure of K2ScSnAs3O12.

Lattice parameters (Å, degrees): 10.5772 10.5772 10.5772 90.00 90.00 90.00
Space group P2_13 (No. 198)
Unique sites:
K: 0.0459 0.0459 0.0459
K: 0.1814 0.3186 0.6814
Sc: 0.1106 0.8894 0.3894
Sn: 0.1626 0.6626 0.8374
As: 0.0259 0.2059 0.3790
O: 0.0164 0.0547 0.3243
O: 0.0241 0.5437 0.7643
O: 0.0534 0.8043 0.2207
O: 0.0902 0.8184 0.7440

Properties
The value obtained for the magnetization is 0.1 Bohr magnetons per cell. The formation energy is -215 kJ per mole of atoms.

10.
## Ca3As2O18 (PBE)

Data for a relaxed structure of Ca3As2O18.

Lattice parameters (Å, degrees): 5.9575 10.3319 12.0507 107.61 96.45 101.99
Space group P-1 (No. 2)
Unique sites:
Ca: 0.0668 0.2801 0.4250
Ca: 0.1232 0.6962 0.9141
Ca: 0.3331 0.6386 0.3317
As: 0.1442 0.2109 0.7557
As: 0.3461 0.5902 0.6326
O: 0.0281 0.4469 0.8484
O: 0.0423 0.3298 0.8846
O: 0.0498 0.8150 0.3644
O: 0.0845 0.9367 0.7640
O: 0.0879 0.0643 0.8295
O: 0.1688 0.6604 0.7256
O: 0.2225 0.6041 0.5001
O: 0.2284 0.9600 0.0313
O: 0.2626 0.4314 0.1617
O: 0.3133 0.1366 0.4790
O: 0.3145 0.4145 0.6080
O: 0.3420 0.8883 0.5585
O: 0.3572 0.0864 0.0946
O: 0.3637 0.3245 0.3221
O: 0.4346 0.2515 0.7725
O: 0.4412 0.0957 0.3968
O: 0.4619 0.1593 0.0324
O: 0.4864 0.4482 0.0158

Properties
The value obtained for the magnetization is 6.0 Bohr magnetons per cell. The formation energy is -90 kJ per mole of atoms.